[1]
## Dy2Fe15Si2C (PBE)

Data for a relaxed Dy2Fe15Si2C crystal.

As for the symmetry: No. 12. The calculation puts the formation energy from the elements at -0.12 eV/atom.

abc: 6.424 6.424 6.408
angles: 97.74 97.74 81.95
Positions (direct):
Dy1 0.156 0.156 0.352
Dy2 0.844 0.844 0.648
Fe1 0.000 0.500 0.000
Fe2 0.155 0.155 0.851
Fe3 0.162 0.653 0.341
Fe4 0.198 0.497 0.698
Fe5 0.220 0.780 0.000
Fe6 0.347 0.838 0.659
Fe7 0.497 0.198 0.698
Fe8 0.500 0.000 0.000
Fe9 0.500 0.500 0.500
Fe10 0.503 0.802 0.302
Fe11 0.653 0.162 0.341
Fe12 0.780 0.220 0.000
Fe13 0.802 0.503 0.302
Fe14 0.838 0.347 0.659
Fe15 0.845 0.845 0.149
Si1 0.398 0.398 0.100
Si2 0.602 0.602 0.900
C1 0.000 0.000 0.000

=====

[2]
## DyFe2SiC (PBE)

Data for a relaxed DyFe2SiC crystal.

As for the symmetry: No. 63. The calculation puts the formation energy from the elements at -0.52 eV/atom.

abc: 5.531 5.531 6.741
angles: 90.00 90.00 140.37
Positions (direct):
Dy1 0.050 0.950 0.750
Dy2 0.950 0.050 0.250
Fe1 0.334 0.666 0.562
Fe2 0.334 0.666 0.938
Fe3 0.666 0.334 0.062
Fe4 0.666 0.334 0.438
Si1 0.230 0.770 0.250
Si2 0.770 0.230 0.750
C1 0.500 0.500 0.000
C2 0.500 0.500 0.500

=====

Among the records above, which one has the highest formation energy from the elements? Dy2Fe15Si2C